Crystalline CsKRb2 at its relaxed geometry, computed with PBE-GGA. Values from VASP.

- SG: Fm-3m, No. 225

```
&SYSTEM
  ibrav = 0, nat = 4, ntyp = 3
/
ATOMIC_SPECIES
Cs 132.91 Cs.upf
K 39.10 K.upf
Rb 85.47 Rb.upf
ATOMIC_POSITIONS angstrom
Cs 0.0000 0.0000 0.0000
K 5.6936 5.6936 5.6936
Rb 2.8468 2.8468 2.8468
Rb 8.5404 8.5404 8.5404
CELL_PARAMETERS angstrom
0.0000 5.6936 5.6936
5.6936 0.0000 5.6936
5.6936 5.6936 0.0000
```



Crystalline H6PbCI3N at its relaxed geometry, computed with PBE-GGA. Values from VASP.

- SG: Pnma, No. 62
- MP2020-corrected energy: -4.2852 eV per atom

```
&SYSTEM
  ibrav = 0, nat = 48, ntyp = 5
/
ATOMIC_SPECIES
H 1.01 H.upf
Pb 207.20 Pb.upf
C 12.01 C.upf
I 126.90 I.upf
N 14.01 N.upf
ATOMIC_POSITIONS angstrom
H 0.1956 3.2807 1.2068
H 0.5278 9.8420 1.6972
H 0.9847 2.4382 8.6168
H 0.9847 4.1231 8.6168
H 1.3975 8.9398 0.4050
H 1.3975 10.7441 0.4050
H 3.0982 2.3785 4.7300
H 3.0982 4.1828 4.7300
H 3.5110 8.9995 4.2917
H 3.5110 10.6845 4.2917
H 3.9679 3.2807 6.0222
H 4.3001 9.8420 5.5318
H 4.6913 3.2807 3.1183
H 5.0235 9.8420 2.6278
H 5.4804 2.4382 4.3584
H 5.4804 4.1231 4.3584
H 5.8932 8.9398 3.9201
H 5.8932 10.7441 3.9201
H 7.5939 2.3785 8.2451
H 7.5939 4.1828 8.2451
H 8.0067 8.9995 0.0333
H 8.0067 10.6845 0.0333
H 8.4636 3.2807 6.9529
H 8.7957 9.8420 7.4433
Pb 0.0000 0.0000 4.3250
Pb 0.0000 6.5613 4.3250
Pb 4.4957 0.0000 0.0000
Pb 4.4957 6.5613 0.0000
C 0.8228 9.8420 0.6401
C 3.6729 3.2807 4.9652
C 5.3185 9.8420 3.6849
C 8.1686 3.2807 8.0100
I 0.2421 9.8420 4.9243
I 1.6135 0.2306 7.1482
I 1.6135 6.3307 7.1482
I 2.8822 6.7919 2.8231
I 2.8822 12.8920 2.8231
I 4.2536 3.2807 0.5992
I 4.7378 9.8420 8.0508
I 6.1092 0.2306 5.8270
I 6.1092 6.3307 5.8270
I 7.3779 6.7919 1.5019
I 7.3779 12.8920 1.5019
I 8.7493 3.2807 3.7258
N 0.4136 3.2807 0.1831
N 4.0821 9.8420 4.5082
N 4.9093 3.2807 4.1419
N 8.5778 9.8420 8.4669
CELL_PARAMETERS angstrom
8.9914 0.0000 0.0000
0.0000 13.1227 0.0000
0.0000 0.0000 8.6501
```



Crystalline Ba8B5N10F at its relaxed geometry, computed with PBE-GGA. Values from VASP.

- SG: P-1, No. 2
- MP2020-corrected energy: -6.8048 eV per atom

```
&SYSTEM
  ibrav = 0, nat = 96, ntyp = 4
/
ATOMIC_SPECIES
Ba 137.33 Ba.upf
B 10.81 B.upf
N 14.01 N.upf
F 19.00 F.upf
ATOMIC_POSITIONS angstrom
Ba 0.0000 0.0000 0.0000
Ba 0.1658 0.1759 7.1009
Ba -0.4535 17.5897 4.4348
Ba -0.4286 17.2843 8.9457
Ba -0.3520 16.3172 17.1351
Ba -0.3203 17.2873 0.0781
Ba -0.2049 16.5552 13.0722
Ba 0.3458 9.5034 15.9216
Ba 0.6061 10.7023 1.7690
Ba 0.6287 10.5815 8.9193
Ba 1.1990 6.4367 10.6316
Ba 1.2063 6.9856 6.2319
Ba 1.2709 5.8964 18.8897
Ba 1.3598 6.9155 1.8163
Ba 1.4669 5.7883 14.7599
Ba 0.7460 20.0705 17.7546
Ba 2.1268 -0.3216 10.6078
Ba 2.3609 0.3970 3.4609
Ba 1.6400 14.6792 6.4556
Ba 1.7470 13.5520 19.3992
Ba 1.8359 14.5711 2.3258
Ba 1.9006 13.4819 14.9836
Ba 1.9078 14.0308 10.5839
Ba 2.4781 9.8860 12.2963
Ba 2.5007 9.7651 19.4466
Ba 2.7611 10.9641 5.2939
Ba 3.3117 3.9123 8.1433
Ba 3.4271 3.1801 21.1374
Ba 3.4588 4.1503 4.0804
Ba 3.5354 3.1832 12.2698
Ba 3.5603 2.8778 16.7808
Ba 2.9411 20.2915 14.1147
B -0.7389 13.3576 8.2382
B -0.4076 7.1656 20.8770
B -0.1172 12.3822 17.5216
B -0.0412 12.6864 12.2955
B -0.0245 13.5638 4.2977
B 0.8591 2.5210 9.9307
B 0.9318 2.9365 2.0733
B 1.5910 1.9360 14.0380
B 1.5893 1.9275 19.3021
B 1.6201 2.9396 6.0133
B 1.4867 17.5278 15.2022
B 1.5176 18.5400 1.9134
B 1.5159 18.5315 7.1775
B 2.1750 17.5310 19.1423
B 2.2478 17.9465 11.2849
B 3.1314 6.9037 16.9179
B 3.1481 7.7811 8.9201
B 3.2240 8.0853 3.6939
B 3.5144 13.3019 0.3385
B 3.8457 7.1099 12.9773
N 0.1361 1.4275 9.6316
N -0.5129 14.8114 4.4661
N 0.2298 1.8010 2.2323
N -0.4055 13.6216 17.0519
N -0.3730 13.8264 12.9443
N -0.2397 14.5559 0.2206
N -0.2263 14.5489 8.6274
N 0.2706 8.2060 13.3465
N 0.3109 8.2907 20.7290
N 0.2896 11.2471 18.1203
N 0.3534 11.6606 11.5134
N 0.6311 12.4052 4.1135
N 1.1636 4.2120 6.1127
N 1.2440 3.1552 18.8396
N 1.2772 3.0741 14.7009
N 1.3865 3.7232 10.2642
N 1.4366 4.1838 1.9427
N 0.8162 18.6891 15.2637
N 1.9558 0.9147 13.2328
N 1.0460 19.6606 1.3342
N 2.0608 0.8068 19.8814
N 1.1511 19.5528 7.9827
N 2.2906 1.7783 5.9519
N 1.6702 16.2837 19.2728
N 1.7203 16.7442 10.9514
N 1.8296 17.3934 6.5146
N 1.8628 17.3123 2.3759
N 1.9433 16.2554 15.1029
N 2.4757 8.0622 17.1020
N 2.7535 8.8069 9.7021
N 2.8173 9.2204 3.0952
N 2.7960 12.1768 0.4866
N 2.8363 12.2615 7.8690
N 3.3331 5.9185 12.5882
N 3.3466 5.9116 20.9949
N 3.4799 6.6411 8.2713
N 3.5123 6.8458 4.1637
N 2.8770 18.6665 18.9832
N 3.6197 5.6560 16.7494
N 2.9707 19.0400 11.5839
F -0.8851 20.2428 4.6003
F 0.6750 9.6384 6.4048
F 2.4318 10.8291 14.8108
F 3.9920 0.2247 16.6153
CELL_PARAMETERS angstrom
4.2596 0.0000 0.0000
-1.1469 21.1106 0.0000
-0.0059 -0.6431 21.2156
```



Calculated total DFT energy (no corrections) in order - -0.967 -4.255 -6.786 eV/atom
Calculated energy relative to the elements in order - 0.025 -0.435 -1.220 eV per atom